[1]
Computed, not measured: a relaxed structure of FeW2O8 at the PBE+U level of DFT.

Values from the calculation:
Volume (A^3/atom): 12.93
Energy relative to the lowest polymorph listed for this composition (eV/f.u.): 0.00
VASP energy (eV/atom): -7.06

a b c (Å): 7.5895 7.5895 5.0696
angles (deg): 88.38 88.38 102.79
Atoms (fractional coordinates):
O: 0.7015 0.5716 0.4130
O: 0.3265 0.9290 0.8715
O: 0.8085 0.8872 0.5301
Fe: 0.6741 0.3259 0.2500
O: 0.5716 0.7015 0.9130
O: 0.1915 0.1128 0.4699
W: 0.8388 0.6608 0.7309
O: 0.5578 0.2163 0.5823
O: 0.9290 0.3265 0.3715
O: 0.2985 0.4284 0.5870
O: 0.1128 0.1915 0.9699
Fe: 0.3259 0.6741 0.7500
O: 0.7837 0.4422 0.9177
W: 0.3392 0.1612 0.7691
O: 0.6735 0.0710 0.1285
O: 0.8872 0.8085 0.0301
W: 0.1612 0.3392 0.2691
O: 0.4422 0.7837 0.4177
O: 0.0710 0.6735 0.6285
O: 0.2163 0.5578 0.0823
W: 0.6608 0.8388 0.2309
O: 0.4284 0.2985 0.0870

---

[2]
Computed, not measured: a relaxed structure of Y2Mn3O9 at the PBE+U level of DFT.

Values from the calculation:
Volume (A^3/atom): 11.36
Energy relative to the lowest polymorph listed for this composition (eV/f.u.): 0.00
VASP energy (eV/atom): -7.79

a b c (Å): 5.2468 7.5351 16.0861
angles (deg): 90.00 90.00 90.00
Atoms (fractional coordinates):
O: 0.8115 0.5278 0.0630
Mn: 0.5000 0.5000 0.0000
O: 0.2137 0.0618 0.5953
O: 0.9158 0.2500 0.4964
O: 0.5855 0.2500 0.3277
O: 0.2863 0.0618 0.0953
O: 0.4062 0.7500 0.3433
Y: 0.5169 0.7500 0.8127
O: 0.6885 0.5278 0.5630
O: 0.7863 0.5618 0.4047
O: 0.6885 0.9722 0.5630
Mn: 0.0000 0.5000 0.5000
O: 0.2040 0.4552 0.2638
O: 0.2137 0.4382 0.5953
O: 0.1885 0.4722 0.9370
O: 0.7960 0.5448 0.7362
Mn: 0.0043 0.0049 0.8329
O: 0.7137 0.9382 0.9047
O: 0.8115 0.9722 0.0630
Y: 0.4831 0.2500 0.1873
O: 0.7040 0.5448 0.2362
Mn: 0.4957 0.0049 0.3329
O: 0.4158 0.7500 0.0036
O: 0.9062 0.2500 0.1567
Y: 0.0169 0.2500 0.6873
Mn: 0.5043 0.9951 0.6671
O: 0.7137 0.5618 0.9047
O: 0.0855 0.7500 0.1723
O: 0.4145 0.7500 0.6723
Y: 0.0094 0.2500 0.0143
Mn: 0.0000 0.0000 0.5000
O: 0.2863 0.4382 0.0953
Mn: 0.4957 0.4951 0.3329
O: 0.7040 0.9552 0.2362
O: 0.5842 0.2500 0.9964
O: 0.2960 0.4552 0.7638
O: 0.7863 0.9382 0.4047
Y: 0.9831 0.7500 0.3127
O: 0.9145 0.2500 0.8277
O: 0.1885 0.0278 0.9370
O: 0.5938 0.2500 0.6567
O: 0.0842 0.7500 0.5036
Y: 0.4906 0.2500 0.5143
O: 0.7960 0.9552 0.7362
Mn: 0.5000 0.0000 0.0000
O: 0.3115 0.4722 0.4370
Mn: 0.9957 0.5049 0.1671
Mn: 0.5043 0.5049 0.6671
O: 0.2040 0.0448 0.2638
O: 0.2960 0.0448 0.7638
Mn: 0.9957 0.9951 0.1671
Mn: 0.0043 0.4951 0.8329
Y: 0.9906 0.7500 0.9857
O: 0.3115 0.0278 0.4370
Y: 0.5094 0.7500 0.4857
O: 0.0938 0.7500 0.8433

---

[3]
Computed, not measured: a relaxed structure of Co3C2Se2O10 at the PBE+U level of DFT.

Values from the calculation:
Volume (A^3/atom): 12.75
VASP energy (eV/atom): -6.37

a b c (Å): 6.6305 9.3013 7.8338
angles (deg): 82.86 64.98 90.01
Atoms (fractional coordinates):
O: 0.8716 0.3206 0.2570
O: 0.2592 0.5632 0.4814
O: 0.2354 0.1183 0.1527
O: 0.3880 0.8816 0.8474
Co: 0.5902 0.3985 0.8195
Co: 0.9097 0.1016 0.1806
Co: 0.5000 0.0000 0.0000
C: 0.2179 0.6750 0.5641
O: 0.6284 0.1792 0.7432
O: 0.1123 0.6182 0.1523
Se: 0.1287 0.2880 0.7425
O: 0.1284 0.6794 0.7430
Se: 0.3712 0.2120 0.2578
O: 0.9392 0.8805 0.1215
O: 0.0608 0.1195 0.8785
O: 0.2648 0.3818 0.8474
O: 0.4393 0.3804 0.1214
O: 0.7352 0.6182 0.1526
Co: 0.0000 0.5000 0.0000
O: 0.8877 0.3818 0.8477
O: 0.6120 0.1184 0.1525
C: 0.7180 0.1749 0.5640
Co: 0.0903 0.8984 0.8194
O: 0.7593 0.0632 0.4814
O: 0.3716 0.8208 0.2568
C: 0.2820 0.8251 0.4360
Co: 0.4098 0.6015 0.1805
O: 0.5607 0.6196 0.8786
O: 0.7646 0.8817 0.8473
Se: 0.8713 0.7120 0.2575
Se: 0.6288 0.7880 0.7422
O: 0.7408 0.4368 0.5186
O: 0.2407 0.9368 0.5187
C: 0.7821 0.3250 0.4359

---

[4]
Computed, not measured: a relaxed structure of Mn3P3O13 at the PBE+U level of DFT.

Values from the calculation:
Volume (A^3/atom): 12.57
VASP energy (eV/atom): -7.23

a b c (Å): 6.2181 7.4362 10.4702
angles (deg): 80.55 90.00 90.00
Atoms (fractional coordinates):
P: 0.2500 0.7868 0.4737
Mn: 0.7500 0.7657 0.5526
O: 0.5450 0.7973 0.9110
O: 0.0545 0.3723 0.7973
O: 0.2500 0.3516 0.2588
O: 0.2500 0.6484 0.3769
Mn: 0.5000 0.0000 0.0000
P: 0.7500 0.2132 0.5263
Mn: 0.2500 0.6319 0.1968
O: 0.7500 0.9202 0.1218
O: 0.7500 0.0189 0.5999
O: 0.7500 0.6484 0.7412
O: 0.0536 0.7407 0.5648
O: 0.2500 0.0798 0.8782
Mn: 0.0000 0.0000 0.0000
O: 0.4455 0.3723 0.7973
O: 0.2500 0.9811 0.4001
O: 0.2500 0.5086 0.0465
Mn: 0.2500 0.2343 0.4474
O: 0.5536 0.2593 0.4352
O: 0.4464 0.7407 0.5648
O: 0.9455 0.6277 0.2027
O: 0.7500 0.1254 0.8998
O: 0.2500 0.1973 0.6375
O: 0.5545 0.6277 0.2027
O: 0.0450 0.2027 0.0890
P: 0.7500 0.7394 0.2318
O: 0.9464 0.2593 0.4352
P: 0.2500 0.3066 0.1167
O: 0.7500 0.8027 0.3625
O: 0.7500 0.4914 0.9535
P: 0.7500 0.6934 0.8833
O: 0.4550 0.2027 0.0890
P: 0.2500 0.2606 0.7682
O: 0.7500 0.3516 0.6231
O: 0.2500 0.8746 0.1002
O: 0.9550 0.7973 0.9110
Mn: 0.7500 0.3681 0.8032